Record 1
The following is a DFT calculation (PBE) of a relaxed structure of BaCu4S3.

Values from the calculation:
total magnetic moment: 0.01 μB/cell
crystal system: orthorhombic
symmetry: Pnma (62)
DFT total energy: -0.1640 Ha/atom
energy relative to the elements: -0.810 eV/atom

Structure (POSCAR):
```
BaCu4S3
1.0
10.8359 0.0000 0.0000
0.0000 3.9850 0.0000
0.0000 0.0000 13.4140
Ba Cu S
4 16 12
direct
0.2240 0.2500 0.0195
0.2760 0.7500 0.5195
0.7240 0.2500 0.4805
0.7760 0.7500 0.9805
0.0349 0.2500 0.3985
0.0505 0.7500 0.8454
0.0833 0.7500 0.2757
0.1789 0.2500 0.7524
0.3211 0.7500 0.2524
0.4167 0.2500 0.7757
0.4495 0.2500 0.3454
0.4651 0.7500 0.8985
0.5349 0.2500 0.1015
0.5505 0.7500 0.6546
0.5833 0.7500 0.2243
0.6789 0.2500 0.7476
0.8211 0.7500 0.2476
0.9167 0.2500 0.7243
0.9495 0.2500 0.1546
0.9651 0.7500 0.6015
0.0342 0.7500 0.1102
0.0715 0.2500 0.6010
0.2344 0.2500 0.3227
0.2656 0.7500 0.8227
0.4285 0.7500 0.1010
0.4658 0.2500 0.6102
0.5342 0.7500 0.3898
0.5715 0.2500 0.8990
0.7344 0.2500 0.1773
0.7656 0.7500 0.6773
0.9285 0.7500 0.3990
0.9658 0.2500 0.8898
```

---

Record 2
The following is a DFT calculation (PBE) of a relaxed structure of KSiHO3.

Values from the calculation:
total magnetic moment: 0.00 μB/cell
crystal system: orthorhombic
symmetry: Cmce (64)
DFT total energy: -0.2319 Ha/atom
energy relative to the elements: -2.524 eV/atom

Structure (POSCAR):
```
KSiHO3
1.0
5.8685 -4.8608 0.0000
5.8685 4.8608 0.0000
0.0000 0.0000 11.4417
K Si H O
8 8 8 24
direct
0.0105 0.4895 0.7500
0.1775 0.8225 0.9569
0.3225 0.6775 0.4569
0.4895 0.0105 0.2500
0.5105 0.9895 0.7500
0.6775 0.3225 0.5431
0.8225 0.1775 0.0431
0.9895 0.5105 0.2500
0.0163 0.9837 0.6838
0.1965 0.1965 0.5000
0.3035 0.3035 0.0000
0.4837 0.5163 0.1838
0.5163 0.4837 0.8162
0.6965 0.6965 0.0000
0.8035 0.8035 0.5000
0.9837 0.0163 0.3162
0.0000 0.5000 0.0000
0.0000 0.5000 0.5000
0.1685 0.8315 0.1935
0.3315 0.6685 0.6935
0.5000 0.0000 0.0000
0.5000 0.0000 0.5000
0.6685 0.3315 0.3065
0.8315 0.1685 0.8065
0.0624 0.9376 0.1882
0.0669 0.1582 0.6115
0.0940 0.3630 0.0331
0.1370 0.4060 0.4669
0.1582 0.0669 0.3885
0.1786 0.8214 0.7010
0.3214 0.6786 0.2010
0.3418 0.4331 0.8885
0.3630 0.0940 0.9669
0.4060 0.1370 0.5331
0.4331 0.3418 0.1115
0.4376 0.5624 0.6882
0.5624 0.4376 0.3118
0.5669 0.6582 0.8885
0.5940 0.8630 0.4669
0.6370 0.9060 0.0331
0.6582 0.5669 0.1115
0.6786 0.3214 0.7990
0.8214 0.1786 0.2990
0.8418 0.9331 0.6115
0.8630 0.5940 0.5331
0.9060 0.6370 0.9669
0.9331 0.8418 0.3885
0.9376 0.0624 0.8118
```

---

Record 3
The following is a DFT calculation (PBE) of a relaxed structure of Na10Ga4Si7Ge4S5O48.

Values from the calculation:
total magnetic moment: 0.00 μB/cell
crystal system: triclinic
symmetry: P1 (1)
DFT total energy: -0.2299 Ha/atom
energy relative to the elements: -2.320 eV/atom

Structure (POSCAR):
```
Na10Ga4Si7Ge4S5O48
1.0
8.7736 0.0000 0.0000
0.0201 15.0446 0.0000
0.0524 0.4638 22.0221
Na Ga Si Ge S O
30 12 21 12 15 144
direct
0.0000 0.0000 0.0000
0.0002 0.0303 0.6673
0.9997 0.3343 0.3356
0.0004 0.3644 0.9999
0.0517 0.0221 0.3301
0.1731 0.5120 0.5839
0.1850 0.1813 0.7524
0.1854 0.8477 0.9143
0.1884 0.1856 0.2500
0.1907 0.8474 0.4190
0.1959 0.5121 0.0834
0.3671 0.0322 0.1672
0.3674 0.6668 0.1696
0.3697 0.3337 0.8339
0.4999 0.8343 0.3356
0.5020 0.5317 0.6666
0.5027 0.1674 0.6696
0.5521 0.1880 0.9946
0.5517 0.5219 0.3302
0.5522 0.8554 0.6623
0.6785 0.3483 0.9157
0.6824 0.0129 0.5807
0.6880 0.6856 0.2506
0.6903 0.0072 0.0829
0.6908 0.3476 0.4190
0.6911 0.6820 0.7491
0.8191 0.5222 0.8277
0.8673 0.1668 0.1682
0.8666 0.5313 0.1672
0.8691 0.8347 0.8337
0.1723 0.1838 0.3964
0.1755 0.8549 0.0653
0.1792 0.5201 0.7278
0.1868 0.1832 0.8947
0.1873 0.5161 0.2303
0.1963 0.8582 0.5642
0.6727 0.6833 0.3965
0.6793 0.3558 0.0622
0.6848 0.0187 0.7316
0.6866 0.0166 0.2300
0.6953 0.6855 0.8935
0.6973 0.3605 0.5640
0.0364 0.9954 0.1644
0.0371 0.3309 0.4966
0.0506 0.6626 0.8308
0.3189 0.6617 0.3314
0.3294 0.3322 0.9964
0.3300 0.9968 0.6646
0.3929 0.3540 0.6614
0.3957 0.0243 0.3306
0.4745 0.5238 0.8296
0.4769 0.8537 0.1621
0.5365 0.4936 0.1635
0.5382 0.8298 0.4972
0.5429 0.1614 0.8304
0.8188 0.1618 0.3314
0.8294 0.8275 0.9966
0.8359 0.4964 0.6646
0.8938 0.1865 0.9967
0.8957 0.5242 0.3305
0.8985 0.8509 0.6627
0.9794 0.0234 0.8296
0.9795 0.3544 0.1629
0.1601 0.1925 0.1009
0.1609 0.8581 0.7688
0.1630 0.5187 0.4341
0.1950 0.1952 0.6022
0.2077 0.5207 0.9307
0.2100 0.8561 0.2683
0.6584 0.3557 0.7674
0.6629 0.0184 0.4338
0.6716 0.6928 0.1022
0.7070 0.6907 0.6020
0.7085 0.0207 0.9330
0.7087 0.3563 0.2681
0.0356 0.0393 0.4991
0.0367 0.3728 0.8320
0.0367 0.7095 0.1653
0.3261 0.7083 0.6651
0.3332 0.0380 0.9993
0.3333 0.3723 0.3325
0.3936 0.6854 0.9980
0.4751 0.1857 0.4977
0.5336 0.8740 0.8327
0.5350 0.5393 0.4988
0.5360 0.2094 0.1654
0.8315 0.5418 0.9990
0.8322 0.2097 0.6647
0.8332 0.8724 0.3325
0.9754 0.6858 0.4972
0.9998 0.5312 0.9942
0.0005 0.4937 0.3890
0.0008 0.8651 0.3255
0.0016 0.1959 0.6588
0.0047 0.1762 0.3374
0.0059 0.2059 0.9409
0.0065 0.8701 0.6049
0.0144 0.8427 0.0043
0.0150 0.5104 0.6723
0.0566 0.4289 0.8881
0.0599 0.7636 0.2195
0.0614 0.9404 0.1037
0.0625 0.5965 0.7752
0.0634 0.0941 0.5540
0.0706 0.2736 0.4362
0.0709 0.7641 0.5042
0.0720 0.6029 0.4940
0.0804 0.2613 0.1605
0.0805 0.4427 0.1715
0.0803 0.9291 0.8272
0.0851 0.1085 0.8387
0.1073 0.0786 0.4430
0.1075 0.6196 0.1697
0.1069 0.9502 0.5030
0.1105 0.2850 0.8378
0.1106 0.7469 0.1098
0.1126 0.4128 0.7782
0.1221 0.2835 0.5567
0.1220 0.6155 0.8947
0.1226 0.9504 0.2259
0.1262 0.4311 0.4906
0.1285 0.7627 0.8246
0.1297 0.0945 0.1581
0.2361 0.4315 0.9902
0.2414 0.7630 0.3243
0.2419 0.0960 0.6543
0.2417 0.2851 0.0571
0.2437 0.9513 0.7247
0.2463 0.6125 0.3930
0.2572 0.4096 0.2773
0.2579 0.0785 0.9454
0.2587 0.7468 0.6093
0.2602 0.9491 0.0040
0.2618 0.6182 0.6699
0.2627 0.2831 0.3388
0.2805 0.1070 0.3411
0.2849 0.9321 0.3265
0.2914 0.2606 0.6586
0.2920 0.4418 0.6710
0.2964 0.7641 0.0049
0.2973 0.6026 0.9947
0.3062 0.2709 0.9377
0.3068 0.6011 0.2716
0.3082 0.7649 0.7191
0.3114 0.0939 0.0548
0.3129 0.4296 0.3860
0.3159 0.9344 0.6072
0.3540 0.8391 0.5044
0.3568 0.5143 0.1712
0.3611 0.1806 0.8383
0.3643 0.8682 0.1052
0.3673 0.5325 0.4930
0.3682 0.8641 0.8262
0.3686 0.1965 0.1594
0.3731 0.4928 0.8900
0.3740 0.5353 0.7694
0.3758 0.8269 0.2246
0.3780 0.1978 0.4439
0.3829 0.1658 0.5552
0.4852 0.6662 0.0557
0.4906 0.6985 0.9444
0.4925 0.3266 0.7243
0.4936 0.0355 0.2691
0.4980 0.6981 0.6598
0.5003 0.0305 0.9934
0.5002 0.9933 0.3891
0.5011 0.3650 0.3254
0.5047 0.6764 0.3374
0.5060 0.3671 0.6045
0.5118 0.3397 0.0049
0.5133 0.0111 0.6719
0.5614 0.2640 0.2194
0.5611 0.9298 0.8865
0.5633 0.5945 0.5533
0.5657 0.1045 0.7701
0.5668 0.4353 0.1057
0.5723 0.1026 0.4942
0.5715 0.2638 0.5042
0.5718 0.7732 0.4368
0.5780 0.7605 0.1589
0.5785 0.9417 0.1709
0.5848 0.4319 0.8266
0.5881 0.6067 0.8412
0.6057 0.4500 0.5025
0.6073 0.5783 0.4427
0.6077 0.1193 0.1702
0.6076 0.7845 0.8389
0.6093 0.2459 0.1093
0.6093 0.9096 0.7763
0.6176 0.1156 0.8940
0.6205 0.7829 0.5592
0.6227 0.4528 0.2264
0.6263 0.2630 0.8241
0.6263 0.5953 0.1548
0.6264 0.9306 0.4910
0.7386 0.5949 0.6549
0.7416 0.2631 0.3243
0.7452 0.4532 0.7269
0.7463 0.1125 0.3931
0.7473 0.9286 0.9905
0.7483 0.7817 0.0581
0.7570 0.9097 0.2773
0.7581 0.2471 0.6097
0.7613 0.5809 0.9434
0.7624 0.7832 0.3389
0.7631 0.1188 0.6693
0.7637 0.4515 0.0025
0.7805 0.6071 0.3408
0.7821 0.7640 0.6592
0.7839 0.0965 0.9932
0.7851 0.2728 0.0058
0.7850 0.4320 0.3265
0.7862 0.9376 0.6708
0.7993 0.7702 0.9371
0.8048 0.5954 0.0543
0.8069 0.1009 0.2718
0.8077 0.4384 0.6065
0.8097 0.2630 0.7194
0.8127 0.9297 0.3862
0.8530 0.3389 0.5041
0.8557 0.0135 0.1717
0.8643 0.6764 0.8375
0.8678 0.0325 0.4933
0.8682 0.6963 0.1593
0.8698 0.3656 0.8264
0.8738 0.3707 0.1038
0.8747 0.3278 0.2242
0.8761 0.0337 0.7694
0.8761 0.9938 0.8908
0.8792 0.6985 0.4432
0.8816 0.6653 0.5538
0.9927 0.1598 0.0594
0.9934 0.5359 0.2690
0.9930 0.8304 0.7262
```

---

Record 4
The following is a DFT calculation (PBE) of a relaxed structure of ReRh2O6.

Values from the calculation:
crystal system: tetragonal
symmetry: P4_2/mnm (136)
DFT total energy: -0.2720 Ha/atom
energy relative to the elements: -1.543 eV/atom

Structure (POSCAR):
```
ReRh2O6
1.0
4.6164 0.0000 0.0000
0.0000 4.6164 0.0000
0.0000 0.0000 9.3583
Re Rh O
2 4 12
direct
0.0000 0.0000 0.0000
0.5000 0.5000 0.5000
0.0000 0.0000 0.3331
0.0000 0.0000 0.6669
0.5000 0.5000 0.1669
0.5000 0.5000 0.8331
0.1907 0.1907 0.1589
0.1907 0.1907 0.8411
0.2019 0.2019 0.5000
0.2981 0.7019 0.0000
0.3093 0.6907 0.3411
0.3093 0.6907 0.6589
0.6907 0.3093 0.3411
0.6907 0.3093 0.6589
0.7019 0.2981 0.0000
0.7981 0.7981 0.5000
0.8093 0.8093 0.1589
0.8093 0.8093 0.8411
```

---

Record 5
The following is a DFT calculation (PBE) of a relaxed structure of CsEu2I5.

Values from the calculation:
crystal system: monoclinic
symmetry: P2_1/c (14)
DFT total energy: -0.1925 Ha/atom
energy relative to the elements: -1.848 eV/atom

Structure (POSCAR):
```
CsEu2I5
1.0
10.3177 0.0000 0.0000
0.0000 9.2040 0.0000
-0.1364 0.0000 14.4675
Cs Eu I
4 8 20
direct
0.0075 0.0569 0.3327
0.0075 0.4431 0.8327
0.9925 0.5569 0.1673
0.9925 0.9431 0.6673
0.2563 0.5718 0.4937
0.2563 0.9282 0.9937
0.4965 0.5262 0.1811
0.4965 0.9738 0.6811
0.5035 0.0262 0.3189
0.5035 0.4738 0.8189
0.7437 0.0718 0.0063
0.7437 0.4282 0.5063
0.0352 0.1735 0.0747
0.0352 0.3265 0.5747
0.2814 0.6865 0.7145
0.2814 0.8135 0.2145
0.2892 0.1584 0.8165
0.2892 0.3416 0.3165
0.2955 0.5482 0.9966
0.2955 0.9518 0.4966
0.4582 0.1610 0.0991
0.4582 0.3390 0.5991
0.5418 0.6610 0.4009
0.5418 0.8390 0.9009
0.7045 0.0482 0.5034
0.7045 0.4518 0.0034
0.7108 0.6584 0.6835
0.7108 0.8416 0.1835
0.7186 0.1865 0.7855
0.7186 0.3135 0.2855
0.9648 0.6735 0.4253
0.9648 0.8265 0.9253
```

---

Record 6
The following is a DFT calculation (PBE) of a relaxed structure of Ag2CN2.

Values from the calculation:
total magnetic moment: 0.00 μB/cell
crystal system: monoclinic
symmetry: P2_1/c (14)
DFT total energy: -0.2169 Ha/atom
energy relative to the elements: 0.268 eV/atom

Structure (POSCAR):
```
Ag2CN2
1.0
7.3820 0.0000 0.0000
0.0000 6.0321 0.0000
-1.3563 0.0000 6.7094
Ag C N
8 4 8
direct
0.0000 0.0000 0.0000
0.0000 0.0000 0.5000
0.0000 0.5000 0.0000
0.0000 0.5000 0.5000
0.3229 0.1897 0.3162
0.3229 0.3103 0.8162
0.6771 0.6897 0.1838
0.6771 0.8103 0.6838
0.2899 0.6869 0.3075
0.2899 0.8131 0.8075
0.7101 0.1869 0.1925
0.7101 0.3131 0.6925
0.1812 0.5210 0.2902
0.1812 0.9790 0.7902
0.3991 0.6614 0.8216
0.3991 0.8386 0.3216
0.6009 0.1614 0.6784
0.6009 0.3386 0.1784
0.8188 0.0210 0.2098
0.8188 0.4790 0.7098
```

---

Q: The highest DFT total energy belongs to which entry?
A: BaCu4S3

---

Q: Which value of energy relative to the elements does entry 5 give?
A: -1.848 eV/atom

---

Q: Which of these has the highest energy relative to the elements?
A: Ag2CN2

---

Q: Among the records above, which one has the lowest energy relative to the elements?
A: KSiHO3